Entry 1:
First-principles (GGA-PBE) data for crystalline K2ScInI6 at its relaxed geometry, as listed in the Materials Project.

Summary:
DFT formation energy: -1346 meV/atom
Volume: 477.2 Å³/f.u.
Total DFT energy (no corrections): -31.64 eV per cell
Symmetry: Fm-3m, No. 225

a = 8.7714 Å, b = 8.7714 Å, c = 8.7714 Å
α = 60.00°, β = 60.00°, γ = 60.00°
Element x y z (fractional)
K1 0.2500 0.2500 0.2500
K2 0.7500 0.7500 0.7500
Sc1 0.0000 0.0000 0.0000
In1 0.5000 0.5000 0.5000
I1 0.2334 0.2334 0.7666
I2 0.2334 0.7666 0.2334
I3 0.2334 0.7666 0.7666
I4 0.7666 0.2334 0.2334
I5 0.7666 0.2334 0.7666
I6 0.7666 0.7666 0.2334

Entry 2:
First-principles (GGA-PBE) data for crystalline AlC6 at its relaxed geometry, as listed in the Materials Project.

Summary:
DFT formation energy: 1980 meV/atom
Volume: 153.3 Å³/f.u.
Total DFT energy (no corrections): -45.26 eV per cell
Symmetry: Pm-3m, No. 221

a = 5.3516 Å, b = 5.3516 Å, c = 5.3516 Å
α = 90.00°, β = 90.00°, γ = 90.00°
Element x y z (fractional)
Al1 0.0000 0.0000 0.0000
C1 0.0000 0.0000 0.3805
C2 0.0000 0.0000 0.6195
C3 0.0000 0.3805 0.0000
C4 0.0000 0.6195 0.0000
C5 0.3805 0.0000 0.0000
C6 0.6195 0.0000 0.0000

Entry 3:
First-principles (GGA-PBE) data for crystalline Li5Bi2B4O12 at its relaxed geometry, as listed in the Materials Project.

Summary:
DFT formation energy: -2400 meV/atom
Volume: 267.0 Å³/f.u.
Total DFT energy (no corrections): -300.75 eV per cell
Symmetry: Pc, No. 7

a = 8.8736 Å, b = 6.4738 Å, c = 10.4319 Å
α = 90.00°, β = 117.01°, γ = 90.00°
Element x y z (fractional)
Li1 0.0000 0.0163 0.0000
Li2 0.0000 0.9837 0.5000
Li3 0.1089 0.3166 0.1869
Li4 0.1089 0.6834 0.6869
Li5 0.2458 0.4715 0.5652
Li6 0.2458 0.5285 0.0652
Li7 0.5744 0.0161 0.4718
Li8 0.5744 0.9839 0.9718
Li9 0.7913 0.4766 0.0322
Li10 0.7913 0.5234 0.5322
Bi1 0.2152 0.2175 0.8173
Bi2 0.2152 0.7825 0.3173
Bi3 0.6022 0.2681 0.2271
Bi4 0.6022 0.7319 0.7271
B1 0.3462 0.0729 0.6290
B2 0.3462 0.9271 0.1290
B3 0.4526 0.4229 0.4087
B4 0.4526 0.5771 0.9087
B5 0.8678 0.0940 0.2039
B6 0.8678 0.9060 0.7039
B7 0.9430 0.4191 0.8430
B8 0.9430 0.5809 0.3430
O1 0.0184 0.0446 0.2007
O2 0.0184 0.9554 0.7007
O3 0.0637 0.3147 0.9648
O4 0.0637 0.6853 0.4648
O5 0.1964 0.1839 0.5770
O6 0.1964 0.8161 0.0770
O7 0.3376 0.4333 0.2643
O8 0.3376 0.5667 0.7643
O9 0.3990 0.0266 0.0386
O10 0.3990 0.9734 0.5386
O11 0.4141 0.4650 0.0037
O12 0.4141 0.5350 0.5037
O13 0.4407 0.0493 0.7753
O14 0.4407 0.9507 0.2753
O15 0.6034 0.3171 0.4554
O16 0.6034 0.6829 0.9554
O17 0.7427 0.1975 0.0860
O18 0.7427 0.8025 0.5860
O19 0.7964 0.4831 0.8439
O20 0.7964 0.5169 0.3439
O21 0.8307 0.0547 0.3159
O22 0.8307 0.9453 0.8159
O23 0.9842 0.4534 0.7303
O24 0.9842 0.5466 0.2303

Entry 4:
First-principles (GGA-PBE) data for crystalline Ba2MgCuHgO4 at its relaxed geometry, as listed in the Materials Project.

Summary:
DFT formation energy: -1542 meV/atom
Volume: 163.4 Å³/f.u.
Total DFT energy (no corrections): -40.76 eV per cell
Symmetry: P4/mmm, No. 123

a = 3.9526 Å, b = 3.9526 Å, c = 10.4592 Å
α = 90.00°, β = 90.00°, γ = 90.00°
Element x y z (fractional)
Ba1 0.0000 0.0000 0.1826
Ba2 0.0000 0.0000 0.8174
Mg1 0.0000 0.0000 0.5000
Cu1 0.5000 0.5000 0.0000
Hg1 0.5000 0.5000 0.5000
O1 0.0000 0.5000 0.0000
O2 0.5000 0.0000 0.0000
O3 0.5000 0.5000 0.2901
O4 0.5000 0.5000 0.7099

Entry 5:
First-principles (GGA-PBE) data for crystalline FeH20C8NCl4 at its relaxed geometry, as listed in the Materials Project.

Summary:
DFT formation energy: -318 meV/atom
Volume: 436.6 Å³/f.u.
Total DFT energy (no corrections): -696.91 eV per cell
Symmetry: Pca2_1, No. 29

a = 14.8693 Å, b = 8.6077 Å, c = 13.6434 Å
α = 90.00°, β = 90.00°, γ = 90.00°
Element x y z (fractional)
Fe1 0.2407 0.2211 0.0000
Fe2 0.2593 0.2211 0.5000
Fe3 0.7407 0.7789 0.0000
Fe4 0.7593 0.7789 0.5000
H1 0.0047 0.9953 0.1086
H2 0.0073 0.7070 0.9998
H3 0.0159 0.3359 0.7245
H4 0.0234 0.2618 0.1594
H5 0.0231 0.9981 0.2367
H6 0.0317 0.8773 0.8612
H7 0.0389 0.5354 0.3053
H8 0.0406 0.2800 0.3312
H9 0.0446 0.5044 0.1761
H10 0.0518 0.5420 0.9401
H11 0.0852 0.7723 0.6090
H12 0.0871 0.0385 0.6881
H13 0.1232 0.7016 0.9706
H14 0.1241 0.5299 0.6701
H15 0.1307 0.4953 0.7984
H16 0.1715 0.9046 0.7882
H17 0.1913 0.8124 0.2168
H18 0.2037 0.7253 0.8424
H19 0.2276 0.8054 0.6228
H20 0.2363 0.6300 0.1819
H21 0.2637 0.6300 0.6819
H22 0.2724 0.8054 0.1228
H23 0.2963 0.7253 0.3424
H24 0.3087 0.8124 0.7168
H25 0.3285 0.9046 0.2882
H26 0.3693 0.4953 0.2984
H27 0.3759 0.5299 0.1701
H28 0.3768 0.7016 0.4706
H29 0.4129 0.0385 0.1881
H30 0.4148 0.7723 0.1090
H31 0.4482 0.5420 0.4401
H32 0.4554 0.5044 0.6761
H33 0.4594 0.2800 0.8312
H34 0.4611 0.5354 0.8053
H35 0.4683 0.8773 0.3612
H36 0.4766 0.2618 0.6594
H37 0.4769 0.9981 0.7367
H38 0.4841 0.3359 0.2245
H39 0.4927 0.7070 0.4998
H40 0.4953 0.9953 0.6086
H41 0.5047 0.0047 0.1086
H42 0.5073 0.2930 0.9998
H43 0.5159 0.6641 0.7245
H44 0.5231 0.0019 0.2367
H45 0.5234 0.7382 0.1594
H46 0.5317 0.1227 0.8612
H47 0.5389 0.4646 0.3053
H48 0.5406 0.7200 0.3312
H49 0.5446 0.4956 0.1761
H50 0.5518 0.4580 0.9401
H51 0.5851 0.2277 0.6090
H52 0.5871 0.9615 0.6881
H53 0.6232 0.2984 0.9706
H54 0.6241 0.4701 0.6701
H55 0.6307 0.5047 0.7984
H56 0.6715 0.0954 0.7882
H57 0.6913 0.1876 0.2168
H58 0.7037 0.2747 0.8424
H59 0.7276 0.1946 0.6228
H60 0.7363 0.3700 0.1819
H61 0.7637 0.3700 0.6819
H62 0.7724 0.1946 0.1228
H63 0.7963 0.2747 0.3424
H64 0.8087 0.1876 0.7168
H65 0.8285 0.0954 0.2882
H66 0.8693 0.5047 0.2984
H67 0.8759 0.4701 0.1701
H68 0.8768 0.2984 0.4706
H69 0.9129 0.9615 0.1881
H70 0.9148 0.2277 0.1090
H71 0.9482 0.4580 0.4401
H72 0.9554 0.4956 0.6761
H73 0.9594 0.7200 0.8312
H74 0.9611 0.4646 0.8053
H75 0.9683 0.1227 0.3612
H76 0.9769 0.0019 0.7367
H77 0.9766 0.7382 0.6594
H78 0.9841 0.6641 0.2245
H79 0.9927 0.2930 0.4998
H80 0.9953 0.0047 0.6086
C1 0.0012 0.5415 0.2364
C2 0.0250 0.9714 0.6793
C3 0.0286 0.7513 0.8505
C4 0.0409 0.7973 0.6713
C5 0.0563 0.6689 0.9445
C6 0.0885 0.5437 0.7400
C7 0.1795 0.7799 0.7748
C8 0.2472 0.7526 0.6928
C9 0.2528 0.7526 0.1928
C10 0.3205 0.7799 0.2748
C11 0.4115 0.5437 0.2400
C12 0.4437 0.6689 0.4445
C13 0.4591 0.7973 0.1713
C14 0.4714 0.7513 0.3505
C15 0.4750 0.9714 0.1793
C16 0.4988 0.5415 0.7364
C17 0.5012 0.4585 0.2364
C18 0.5250 0.0286 0.6793
C19 0.5286 0.2487 0.8505
C20 0.5409 0.2027 0.6713
C21 0.5563 0.3311 0.9445
C22 0.5885 0.4563 0.7400
C23 0.6795 0.2201 0.7748
C24 0.7472 0.2474 0.6928
C25 0.7528 0.2474 0.1928
C26 0.8205 0.2201 0.2748
C27 0.9115 0.4563 0.2400
C28 0.9437 0.3311 0.4445
C29 0.9591 0.2027 0.1713
C30 0.9714 0.2487 0.3505
C31 0.9750 0.0286 0.1793
C32 0.9988 0.4585 0.7364
N1 0.0845 0.7178 0.7592
N2 0.4155 0.7178 0.2592
N3 0.5845 0.2822 0.7592
N4 0.9155 0.2822 0.2592
Cl1 0.1046 0.1924 0.9368
Cl2 0.1731 0.0271 0.4509
Cl3 0.2006 0.4465 0.4539
Cl4 0.2308 0.2209 0.1615
Cl5 0.2692 0.2209 0.6615
Cl6 0.2994 0.4465 0.9539
Cl7 0.3269 0.0271 0.9509
Cl8 0.3954 0.1924 0.4368
Cl9 0.6046 0.8076 0.9368
Cl10 0.6731 0.9729 0.4509
Cl11 0.7006 0.5535 0.4539
Cl12 0.7308 0.7791 0.1615
Cl13 0.7692 0.7791 0.6615
Cl14 0.7994 0.5535 0.9539
Cl15 0.8269 0.9729 0.9509
Cl16 0.8954 0.8076 0.4368

Entry 6:
First-principles (GGA-PBE) data for crystalline GdH2ClO2 at its relaxed geometry, as listed in the Materials Project.

Summary:
DFT formation energy: -2293 meV/atom
Volume: 74.4 Å³/f.u.
Total DFT energy (no corrections): -89.98 eV per cell
Symmetry: P2_1/m, No. 11

a = 6.2078 Å, b = 3.7845 Å, c = 6.8045 Å
α = 90.00°, β = 111.49°, γ = 90.00°
Element x y z (fractional)
Gd1 0.1965 0.2500 0.3736
Gd2 0.8035 0.7500 0.6264
H1 0.1931 0.2500 0.7998
H2 0.3853 0.7500 0.7205
H3 0.6147 0.2500 0.2795
H4 0.8069 0.7500 0.2002
Cl1 0.2535 0.7500 0.0637
Cl2 0.7465 0.2500 0.9363
O1 0.0675 0.2500 0.6612
O2 0.3993 0.7500 0.5819
O3 0.6007 0.2500 0.4181
O4 0.9325 0.7500 0.3388

What is the volume in the fourth record? 163.4 Å³/f.u.